[1]
! r2SCAN Ti4MnP6O24, relaxed; values from VASP
! Total energy, eV for the cell shown: -360.30
! Total moment, μB/f.u.: 5.00
! Formation enthalpy at 0 K, kcal/mol of atoms: -63.6
&SYSTEM
  ibrav = 0, nat = 35, ntyp = 4
/
ATOMIC_SPECIES
Ti 47.87 Ti.upf
Mn 54.94 Mn.upf
P 30.97 P.upf
O 16.00 O.upf
ATOMIC_POSITIONS crystal
Ti 0.134 0.134 0.134
Ti 0.354 0.354 0.354
Ti 0.646 0.646 0.646
Ti 0.866 0.866 0.866
Mn 0.500 0.500 0.500
P 0.044 0.747 0.469
P 0.253 0.531 0.956
P 0.469 0.044 0.747
P 0.531 0.956 0.253
P 0.747 0.469 0.044
P 0.956 0.253 0.531
O 0.007 0.792 0.636
O 0.052 0.915 0.284
O 0.085 0.716 0.948
O 0.117 0.317 0.490
O 0.208 0.364 0.993
O 0.237 0.583 0.442
O 0.284 0.052 0.915
O 0.317 0.490 0.117
O 0.364 0.993 0.208
O 0.417 0.558 0.763
O 0.442 0.237 0.583
O 0.490 0.117 0.317
O 0.510 0.883 0.683
O 0.558 0.763 0.417
O 0.583 0.442 0.237
O 0.636 0.007 0.792
O 0.683 0.510 0.883
O 0.716 0.948 0.085
O 0.763 0.417 0.558
O 0.792 0.636 0.007
O 0.883 0.683 0.510
O 0.915 0.284 0.052
O 0.948 0.085 0.716
O 0.993 0.208 0.364
CELL_PARAMETERS angstrom
4.283 2.473 6.975
-4.283 2.473 6.975
0.000 -4.945 6.975

---

[2]
! r2SCAN PrMn2O5, relaxed; values from VASP
! Total energy, eV for the cell shown: -441.15
! Total moment, μB/f.u.: 7.00
! Formation enthalpy at 0 K, kcal/mol of atoms: -62.4
&SYSTEM
  ibrav = 0, nat = 32, ntyp = 3
/
ATOMIC_SPECIES
Pr 140.91 Pr.upf
Mn 54.94 Mn.upf
O 16.00 O.upf
ATOMIC_POSITIONS crystal
Pr 0.142 0.173 0.000
Pr 0.358 0.673 0.000
Pr 0.642 0.327 0.000
Pr 0.858 0.827 0.000
Mn 0.000 0.500 0.258
Mn 0.000 0.500 0.742
Mn 0.090 0.851 0.500
Mn 0.410 0.351 0.500
Mn 0.500 0.000 0.258
Mn 0.500 0.000 0.742
Mn 0.590 0.649 0.500
Mn 0.910 0.149 0.500
O 0.000 0.000 0.279
O 0.000 0.000 0.721
O 0.097 0.706 0.252
O 0.097 0.706 0.748
O 0.153 0.438 0.500
O 0.156 0.449 0.000
O 0.344 0.949 0.000
O 0.347 0.938 0.500
O 0.403 0.206 0.252
O 0.403 0.206 0.748
O 0.500 0.500 0.279
O 0.500 0.500 0.721
O 0.597 0.794 0.252
O 0.597 0.794 0.748
O 0.653 0.062 0.500
O 0.656 0.051 0.000
O 0.844 0.551 0.000
O 0.847 0.562 0.500
O 0.903 0.294 0.252
O 0.903 0.294 0.748
CELL_PARAMETERS angstrom
7.553 0.000 0.000
0.000 8.668 0.000
0.000 0.000 5.733

---

[3]
! r2SCAN PrMnO3, relaxed; values from VASP
! Total energy, eV for the cell shown: -308.12
! Total moment, μB/f.u.: 4.00
! Formation enthalpy at 0 K, kcal/mol of atoms: -69.3
&SYSTEM
  ibrav = 0, nat = 20, ntyp = 3
/
ATOMIC_SPECIES
Pr 140.91 Pr.upf
Mn 54.94 Mn.upf
O 16.00 O.upf
ATOMIC_POSITIONS crystal
Pr 0.044 0.250 0.010
Pr 0.456 0.750 0.510
Pr 0.544 0.250 0.490
Pr 0.956 0.750 0.990
Mn 0.000 0.000 0.500
Mn 0.000 0.500 0.500
Mn 0.500 0.000 0.000
Mn 0.500 0.500 0.000
O 0.016 0.750 0.423
O 0.210 0.541 0.784
O 0.210 0.959 0.784
O 0.290 0.041 0.284
O 0.290 0.459 0.284
O 0.484 0.250 0.923
O 0.516 0.750 0.077
O 0.710 0.541 0.716
O 0.710 0.959 0.716
O 0.790 0.041 0.216
O 0.790 0.459 0.216
O 0.984 0.250 0.577
CELL_PARAMETERS angstrom
5.575 0.000 0.000
0.000 7.782 0.000
0.000 0.000 5.479

---

[4]
! r2SCAN Rb2MnO4, relaxed; values from VASP
! Total energy, eV for the cell shown: -316.88
! Total moment, μB/f.u.: 1.00
! Formation enthalpy at 0 K, kcal/mol of atoms: -42.1
&SYSTEM
  ibrav = 0, nat = 28, ntyp = 3
/
ATOMIC_SPECIES
Rb 85.47 Rb.upf
Mn 54.94 Mn.upf
O 16.00 O.upf
ATOMIC_POSITIONS crystal
Rb 0.015 0.250 0.195
Rb 0.164 0.750 0.411
Rb 0.336 0.250 0.911
Rb 0.485 0.750 0.695
Rb 0.515 0.250 0.305
Rb 0.664 0.750 0.089
Rb 0.836 0.250 0.589
Rb 0.985 0.750 0.805
Mn 0.233 0.750 0.080
Mn 0.267 0.250 0.580
Mn 0.733 0.750 0.420
Mn 0.767 0.250 0.920
O 0.027 0.750 0.083
O 0.192 0.029 0.650
O 0.192 0.471 0.650
O 0.204 0.250 0.432
O 0.296 0.750 0.932
O 0.308 0.529 0.150
O 0.308 0.971 0.150
O 0.473 0.250 0.583
O 0.527 0.750 0.417
O 0.692 0.029 0.850
O 0.692 0.471 0.850
O 0.704 0.250 0.068
O 0.796 0.750 0.568
O 0.808 0.529 0.350
O 0.808 0.971 0.350
O 0.973 0.250 0.917
CELL_PARAMETERS angstrom
7.986 0.000 0.000
0.000 6.027 0.000
0.000 0.000 10.653

---

[5]
! r2SCAN RbMn6O12, relaxed; values from VASP
! Total energy, eV for the cell shown: -427.79
! Total moment, μB/f.u.: 19.00
! Formation enthalpy at 0 K, kcal/mol of atoms: -48.8
&SYSTEM
  ibrav = 0, nat = 38, ntyp = 3
/
ATOMIC_SPECIES
Rb 85.47 Rb.upf
Mn 54.94 Mn.upf
O 16.00 O.upf
ATOMIC_POSITIONS crystal
Rb 0.001 0.298 0.298
Rb 0.999 0.702 0.702
Mn 0.183 0.273 0.788
Mn 0.183 0.607 0.121
Mn 0.183 0.940 0.454
Mn 0.486 0.989 0.172
Mn 0.487 0.657 0.840
Mn 0.488 0.323 0.506
Mn 0.512 0.677 0.494
Mn 0.513 0.343 0.160
Mn 0.514 0.011 0.828
Mn 0.817 0.060 0.546
Mn 0.817 0.393 0.879
Mn 0.817 0.727 0.212
O 0.048 0.023 0.661
O 0.048 0.355 0.993
O 0.049 0.687 0.329
O 0.294 0.528 0.904
O 0.295 0.194 0.570
O 0.297 0.859 0.240
O 0.358 0.534 0.585
O 0.361 0.869 0.920
O 0.362 0.202 0.252
O 0.373 0.875 0.584
O 0.374 0.540 0.249
O 0.377 0.210 0.916
O 0.623 0.790 0.084
O 0.626 0.460 0.751
O 0.627 0.125 0.416
O 0.638 0.798 0.748
O 0.639 0.131 0.080
O 0.642 0.466 0.415
O 0.703 0.141 0.760
O 0.705 0.806 0.430
O 0.706 0.472 0.096
O 0.951 0.313 0.671
O 0.952 0.645 0.007
O 0.952 0.977 0.339
CELL_PARAMETERS angstrom
7.121 0.000 0.000
-0.896 8.164 0.000
-0.843 -3.804 7.231

---

[6]
! r2SCAN RbMnO2, relaxed; values from VASP
! Total energy, eV for the cell shown: -290.98
! Total moment, μB/f.u.: 4.00
! Formation enthalpy at 0 K, kcal/mol of atoms: -45.8
&SYSTEM
  ibrav = 0, nat = 24, ntyp = 3
/
ATOMIC_SPECIES
Rb 85.47 Rb.upf
Mn 54.94 Mn.upf
O 16.00 O.upf
ATOMIC_POSITIONS crystal
Rb 0.019 0.458 0.266
Rb 0.157 0.111 0.619
Rb 0.175 0.129 0.031
Rb 0.825 0.871 0.969
Rb 0.843 0.889 0.381
Rb 0.981 0.542 0.734
Mn 0.400 0.674 0.049
Mn 0.403 0.677 0.382
Mn 0.415 0.678 0.715
Mn 0.585 0.322 0.285
Mn 0.597 0.323 0.618
Mn 0.600 0.326 0.951
O 0.211 0.763 0.201
O 0.226 0.769 0.536
O 0.226 0.776 0.863
O 0.390 0.382 0.446
O 0.391 0.384 0.107
O 0.398 0.374 0.779
O 0.602 0.626 0.221
O 0.609 0.616 0.893
O 0.610 0.618 0.554
O 0.774 0.224 0.137
O 0.774 0.231 0.464
O 0.789 0.237 0.799
CELL_PARAMETERS angstrom
6.552 0.000 0.000
1.507 7.589 0.000
0.210 1.888 8.281

---

[7]
! r2SCAN MnRh2O4, relaxed; values from VASP
! Total energy, eV for the cell shown: -191.53
! Total moment, μB/f.u.: 5.00
! Formation enthalpy at 0 K, kcal/mol of atoms: -29.4
&SYSTEM
  ibrav = 0, nat = 14, ntyp = 3
/
ATOMIC_SPECIES
Mn 54.94 Mn.upf
Rh 102.91 Rh.upf
O 16.00 O.upf
ATOMIC_POSITIONS crystal
Mn 0.125 0.125 0.125
Mn 0.875 0.875 0.875
Rh 0.000 0.500 0.500
Rh 0.500 0.000 0.500
Rh 0.500 0.500 0.000
Rh 0.500 0.500 0.500
O 0.262 0.262 0.262
O 0.262 0.262 0.714
O 0.262 0.714 0.262
O 0.286 0.738 0.738
O 0.714 0.262 0.262
O 0.738 0.286 0.738
O 0.738 0.738 0.286
O 0.738 0.738 0.738
CELL_PARAMETERS angstrom
0.000 4.309 4.309
4.309 0.000 4.309
4.309 4.309 0.000

---

[8]
! r2SCAN Mn2S3O12, relaxed; values from VASP
! Total energy, eV for the cell shown: -305.52
! Distance to the lowest polymorph of the same formula, eV per formula unit: 0.183
! Total moment, μB/f.u.: 8.00
! Formation enthalpy at 0 K, kcal/mol of atoms: -37.5
&SYSTEM
  ibrav = 0, nat = 34, ntyp = 3
/
ATOMIC_SPECIES
Mn 54.94 Mn.upf
S 32.06 S.upf
O 16.00 O.upf
ATOMIC_POSITIONS crystal
Mn 0.144 0.144 0.144
Mn 0.343 0.343 0.343
Mn 0.657 0.657 0.657
Mn 0.856 0.856 0.856
S 0.048 0.458 0.735
S 0.265 0.952 0.542
S 0.458 0.735 0.048
S 0.542 0.265 0.952
S 0.735 0.048 0.458
S 0.952 0.542 0.265
O 0.029 0.615 0.762
O 0.135 0.260 0.864
O 0.136 0.865 0.740
O 0.156 0.522 0.213
O 0.170 0.486 0.521
O 0.213 0.156 0.522
O 0.238 0.971 0.385
O 0.260 0.864 0.135
O 0.385 0.238 0.971
O 0.478 0.787 0.844
O 0.479 0.830 0.514
O 0.486 0.521 0.170
O 0.514 0.479 0.830
O 0.521 0.170 0.486
O 0.522 0.213 0.156
O 0.615 0.762 0.029
O 0.740 0.136 0.865
O 0.762 0.029 0.615
O 0.787 0.844 0.478
O 0.830 0.514 0.479
O 0.844 0.478 0.787
O 0.864 0.135 0.260
O 0.865 0.740 0.136
O 0.971 0.385 0.238
CELL_PARAMETERS angstrom
4.038 2.331 7.608
-4.038 2.331 7.608
0.000 -4.663 7.608

---

[9]
! r2SCAN Mn2S3O12, relaxed; values from VASP
! Total energy, eV for the cell shown: -611.78
! Distance to the lowest polymorph of the same formula, eV per formula unit: 0.000
! Total moment, μB/f.u.: 8.00
! Formation enthalpy at 0 K, kcal/mol of atoms: -37.7
&SYSTEM
  ibrav = 0, nat = 68, ntyp = 3
/
ATOMIC_SPECIES
Mn 54.94 Mn.upf
S 32.06 S.upf
O 16.00 O.upf
ATOMIC_POSITIONS crystal
Mn 0.128 0.029 0.383
Mn 0.128 0.471 0.883
Mn 0.369 0.033 0.117
Mn 0.369 0.467 0.617
Mn 0.631 0.533 0.383
Mn 0.631 0.967 0.883
Mn 0.872 0.529 0.117
Mn 0.872 0.971 0.617
S 0.060 0.744 0.508
S 0.060 0.756 0.008
S 0.237 0.125 0.848
S 0.237 0.375 0.348
S 0.480 0.622 0.860
S 0.480 0.878 0.360
S 0.520 0.122 0.640
S 0.520 0.378 0.140
S 0.763 0.625 0.652
S 0.763 0.875 0.152
S 0.940 0.244 0.992
S 0.940 0.256 0.492
O 0.028 0.641 0.918
O 0.028 0.859 0.418
O 0.053 0.032 0.784
O 0.053 0.468 0.284
O 0.073 0.680 0.106
O 0.073 0.820 0.606
O 0.099 0.133 0.055
O 0.099 0.367 0.555
O 0.193 0.204 0.326
O 0.193 0.296 0.826
O 0.250 0.667 0.553
O 0.250 0.833 0.053
O 0.314 0.076 0.549
O 0.314 0.424 0.049
O 0.342 0.094 0.975
O 0.342 0.406 0.475
O 0.357 0.083 0.809
O 0.357 0.417 0.309
O 0.364 0.625 0.905
O 0.364 0.875 0.405
O 0.395 0.508 0.762
O 0.395 0.992 0.262
O 0.485 0.723 0.311
O 0.485 0.777 0.811
O 0.515 0.223 0.189
O 0.515 0.277 0.689
O 0.605 0.008 0.738
O 0.605 0.492 0.238
O 0.636 0.125 0.595
O 0.636 0.375 0.095
O 0.643 0.583 0.691
O 0.643 0.917 0.191
O 0.658 0.594 0.525
O 0.658 0.906 0.025
O 0.686 0.576 0.951
O 0.686 0.924 0.451
O 0.750 0.167 0.947
O 0.750 0.333 0.447
O 0.807 0.704 0.174
O 0.807 0.796 0.674
O 0.901 0.633 0.445
O 0.901 0.867 0.945
O 0.927 0.180 0.394
O 0.927 0.320 0.894
O 0.947 0.532 0.716
O 0.947 0.968 0.216
O 0.972 0.141 0.582
O 0.972 0.359 0.082
CELL_PARAMETERS angstrom
8.446 0.000 0.000
0.000 8.490 0.000
-8.166 0.000 11.322

---

[10]
! r2SCAN Mn9Zn6Si4Sb2O28, relaxed; values from VASP
! Total energy, eV for the cell shown: -544.99
! Total moment, μB/f.u.: 45.00
! Formation enthalpy at 0 K, kcal/mol of atoms: -49.7
&SYSTEM
  ibrav = 0, nat = 49, ntyp = 5
/
ATOMIC_SPECIES
Mn 54.94 Mn.upf
Zn 65.41 Zn.upf
Si 28.09 Si.upf
Sb 121.76 Sb.upf
O 16.00 O.upf
ATOMIC_POSITIONS crystal
Mn 0.000 0.000 0.000
Mn 0.074 0.350 0.292
Mn 0.297 0.998 0.425
Mn 0.361 0.358 0.716
Mn 0.430 0.995 0.144
Mn 0.570 0.005 0.856
Mn 0.639 0.642 0.284
Mn 0.703 0.002 0.575
Mn 0.926 0.650 0.708
Zn 0.205 0.656 0.138
Zn 0.343 0.660 0.862
Zn 0.483 0.669 0.573
Zn 0.517 0.331 0.427
Zn 0.657 0.340 0.138
Zn 0.795 0.344 0.862
Si 0.057 0.685 0.424
Si 0.237 0.311 0.003
Si 0.763 0.689 0.997
Si 0.943 0.315 0.576
Sb 0.141 0.001 0.720
Sb 0.859 0.999 0.280
O 0.003 0.129 0.589
O 0.028 0.609 0.303
O 0.062 0.643 0.001
O 0.117 0.882 0.153
O 0.123 0.114 0.292
O 0.148 0.351 0.460
O 0.273 0.884 0.846
O 0.295 0.377 0.122
O 0.299 0.592 0.715
O 0.304 0.128 0.004
O 0.348 0.637 0.436
O 0.388 0.893 0.582
O 0.401 0.125 0.714
O 0.422 0.371 0.887
O 0.578 0.629 0.113
O 0.599 0.875 0.286
O 0.612 0.107 0.418
O 0.652 0.363 0.564
O 0.696 0.872 0.996
O 0.701 0.408 0.285
O 0.705 0.623 0.878
O 0.727 0.116 0.154
O 0.852 0.649 0.540
O 0.877 0.886 0.708
O 0.883 0.118 0.847
O 0.938 0.357 0.999
O 0.972 0.391 0.697
O 0.997 0.871 0.411
CELL_PARAMETERS angstrom
5.530 0.000 0.000
1.768 8.947 0.000
2.760 -0.108 11.350

---

Look up the total moment of the fourth one.
1.00 μB/f.u.